PtBr3N2 PBE relaxed; E = -3.500 eV per atom; magnetic moment = 0.08 μB per atom; energy above the most stable polymorph in this dataset = 0.0000 eV per atom; corrected total energy (MP2020 scheme) = -3.620 eV/atom; formation energy from the elements = 0.989 eV/atom
1.0
9.136 0.000 0.000
2.015 9.105 0.000
3.713 3.315 8.460
Pt Br N
4 12 8
Cartesian
0.000 0.000 0.000
5.264 8.141 4.552
5.120 4.089 0.151
9.245 3.867 4.247
4.770 7.907 6.966
3.494 2.929 6.095
3.527 6.027 0.262
4.769 3.727 2.612
5.660 8.298 2.048
6.651 6.074 4.647
9.541 11.652 6.886
9.276 7.914 6.209
10.243 5.315 8.398
9.394 7.743 2.602
8.823 3.689 1.882
12.578 9.872 4.304
3.745 6.893 4.068
1.275 1.103 0.269
6.612 9.398 4.741
3.671 2.866 0.141
6.734 5.105 0.637
8.020 2.896 5.221
9.933 8.108 0.955
10.596 4.869 4.546

SmGe2Pt2 PBE relaxed; E = -6.126 eV per atom; formation energy from the elements = -0.905 eV/atom
1.0
4.347 0.000 0.000
0.000 4.347 0.000
0.000 0.000 10.120
Sm Ge Pt
2 4 4
Cartesian
1.087 1.087 2.513
3.260 3.260 7.607
1.087 1.087 6.409
1.087 3.260 0.000
3.260 1.087 0.000
3.260 3.260 3.711
1.087 1.087 8.855
1.087 3.260 5.060
3.260 1.087 5.060
3.260 3.260 1.265

HoSbIr PBE relaxed; E = -6.744 eV per atom; formation energy from the elements = -0.894 eV/atom
1.0
7.156 0.000 0.000
0.000 4.474 0.000
0.000 0.000 7.984
Ho Sb Ir
4 4 4
Cartesian
0.104 1.118 1.500
3.474 3.355 5.492
3.682 1.118 2.491
7.052 3.355 6.483
1.237 1.118 4.684
2.341 3.355 0.692
4.815 1.118 7.291
5.919 3.355 3.299
1.527 3.355 3.247
2.051 1.118 7.238
5.104 3.355 0.745
5.629 1.118 4.737

Mg2Ti9O13 PBE relaxed; E = -8.389 eV per atom; magnetic moment = 0.00 μB per atom; corrected total energy (MP2020 scheme) = -8.761 eV/atom; formation energy from the elements = -2.986 eV/atom
1.0
4.935 -1.475 0.000
4.935 1.475 0.000
-2.686 0.000 16.345
Mg Ti O
2 9 13
Cartesian
1.528 0.000 3.707
5.656 0.000 12.638
-1.695 0.000 10.862
-1.711 0.000 14.428
0.786 0.000 9.396
0.816 0.000 15.754
3.592 0.000 8.173
6.368 0.000 0.591
6.398 0.000 6.949
8.895 0.000 1.917
8.879 0.000 5.483
0.000 0.000 0.000
0.001 0.000 7.364
-0.796 0.000 12.591
2.586 0.000 1.442
1.813 0.000 11.256
2.668 0.000 6.158
1.827 0.000 13.921
5.357 0.000 2.424
4.516 0.000 10.187
5.370 0.000 5.089
4.597 0.000 14.904
7.979 0.000 3.754
7.182 0.000 8.981

SrHfO3 PBE relaxed; E = -8.696 eV per atom; corrected total energy (MP2020 scheme) = -9.108 eV/atom; formation energy from the elements = -3.810 eV/atom
1.0
-2.914 4.093 2.918
2.914 -4.093 2.918
2.914 4.093 -2.918
Sr Hf O
2 2 6
Cartesian
0.000 2.047 0.052
2.914 2.047 2.867
2.914 0.000 0.000
0.000 0.000 2.918
2.914 2.047 -0.437
1.457 4.425 -1.459
1.457 0.332 1.459
-1.457 3.761 1.459
1.457 3.761 1.459
0.000 2.047 3.355

BaFe2N2 PBE relaxed; E = -7.390 eV per atom; magnetic moment = 0.00 μB per atom; energy above the most stable polymorph in this dataset = 0.0000 eV per atom; corrected total energy (MP2020 scheme) = -7.535 eV/atom; formation energy from the elements = -0.428 eV/atom
1.0
-3.043 3.043 4.717
3.043 -3.043 4.717
3.043 3.043 -4.717
Ba Fe N
2 4 4
Cartesian
0.000 0.000 2.358
0.000 0.000 7.075
3.861 0.818 0.000
0.818 2.225 0.000
2.225 0.818 4.717
-0.818 2.225 4.717
2.073 0.970 0.000
2.073 -0.970 4.717
0.970 4.013 0.000
0.970 2.073 4.717

Mn2SbTe PBE relaxed; E = -6.191 eV per atom; magnetic moment = 2.03 μB per atom; corrected total energy (MP2020 scheme) = -6.296 eV/atom; formation energy from the elements = 0.103 eV/atom
1.0
3.862 0.000 0.000
0.000 7.244 0.000
0.000 0.000 6.618
Mn Sb Te
4 2 2
Cartesian
0.000 0.045 0.000
0.000 3.577 2.251
1.931 3.667 5.560
1.931 7.199 3.309
0.000 5.448 4.435
1.931 1.796 1.126
0.000 1.830 4.452
1.931 5.414 1.143

Ac3Tm PBE relaxed; E = -4.136 eV per atom; magnetic moment = 0.03 μB per atom; formation energy from the elements = 0.073 eV/atom
1.0
7.802 0.000 0.000
-3.901 6.756 0.000
0.000 0.000 6.309
Ac Tm
6 2
Cartesian
0.000 2.297 1.577
-1.911 5.608 1.577
1.990 1.149 4.732
1.911 5.608 1.577
5.812 1.149 4.732
3.901 4.459 4.732
0.000 4.504 4.732
3.901 2.252 1.577

InH9S2O12 PBE relaxed; E = -5.418 eV per atom; magnetic moment = 0.00 μB per atom; corrected total energy (MP2020 scheme) = -5.762 eV/atom; formation energy from the elements = -1.556 eV/atom
1.0
10.087 0.000 0.000
0.000 18.736 0.000
0.000 0.000 5.648
In H S O
4 36 8 48
Cartesian
0.000 0.000 0.000
0.000 9.368 0.000
5.043 0.000 2.824
5.043 9.368 2.824
0.017 4.684 0.289
0.658 1.823 1.998
0.658 7.545 1.998
0.930 11.242 3.697
0.930 16.862 3.697
1.613 13.219 5.501
1.613 14.885 5.501
1.823 3.874 0.025
1.823 5.494 0.025
3.220 13.242 2.849
3.220 14.862 2.849
3.430 3.851 2.678
3.430 5.517 2.678
4.114 1.874 0.873
4.114 7.494 0.873
4.386 11.191 4.822
4.386 16.913 4.822
5.026 14.052 3.113
5.061 4.684 2.535
5.701 1.823 0.826
5.701 7.545 0.826
5.973 11.242 4.775
5.973 16.862 4.775
6.657 13.219 2.970
6.657 14.885 2.970
6.867 3.874 2.799
6.867 5.494 2.799
8.263 13.242 5.623
8.263 14.862 5.623
8.474 3.851 0.146
8.474 5.517 0.146
9.157 1.874 1.951
9.157 7.494 1.951
9.429 11.191 3.650
9.429 16.913 3.650
10.070 14.052 5.358
2.424 1.715 4.079
2.424 7.653 4.079
2.619 11.083 1.255
2.619 17.021 1.255
7.468 1.715 4.393
7.468 7.653 4.393
7.663 11.083 1.569
7.663 17.021 1.569
0.117 11.105 4.253
0.117 16.999 4.253
0.994 1.252 4.222
0.994 8.116 4.222
1.101 14.052 5.266
1.317 4.684 0.298
1.784 9.841 1.096
1.784 18.262 1.096
2.187 11.826 2.459
2.187 16.277 2.459
2.450 2.543 2.856
2.450 6.825 2.856
2.593 11.911 0.032
2.593 16.193 0.032
2.856 2.458 5.283
2.856 6.910 5.283
3.259 0.473 3.920
3.259 8.894 3.920
3.727 14.052 3.122
3.942 4.684 2.442
4.049 10.620 1.398
4.049 17.484 1.398
4.926 1.737 1.430
4.926 7.631 1.430
5.160 11.105 4.218
5.160 16.999 4.218
6.037 1.252 4.249
6.037 8.116 4.249
6.144 14.052 3.206
6.360 4.684 2.525
6.827 9.841 1.728
6.827 18.262 1.728
7.231 11.826 0.364
7.231 16.277 0.364
7.494 2.543 5.616
7.494 6.825 5.616
7.636 11.911 2.792
7.636 16.193 2.792
7.899 2.458 3.188
7.899 6.910 3.188
8.303 0.473 4.552
8.303 8.894 4.552
8.770 14.052 5.349
8.986 4.684 0.382
9.093 10.620 1.425
9.093 17.484 1.425
9.970 1.737 1.394
9.970 7.631 1.394

SiC PBE relaxed; E = -7.530 eV per atom; energy above the most stable polymorph in this dataset = 0.0011 eV per atom; maximum piezoelectric response = 0.2 C/m2; formation energy from the elements = -0.203 eV/atom
1.0
0.000 2.190 2.190
2.190 0.000 2.190
2.190 2.190 0.000
Si C
1 1
Cartesian
0.000 0.000 0.000
1.095 1.095 1.095

HfHg4P2Cl6 PBE relaxed; E = -3.471 eV per atom; magnetic moment = 0.00 μB per atom; corrected total energy (MP2020 scheme) = -3.754 eV/atom; formation energy from the elements = -1.209 eV/atom
1.0
13.321 0.000 0.000
0.000 13.584 0.000
0.000 0.000 16.532
Hf Hg P Cl
8 32 16 48
Cartesian
2.646 0.143 1.870
2.646 6.649 10.137
4.014 6.935 1.870
4.014 13.441 10.137
9.307 0.143 6.396
9.307 6.649 14.662
10.675 6.935 6.396
10.675 13.441 14.662
0.266 3.339 4.197
0.266 3.454 12.463
0.275 2.814 8.347
0.275 3.978 0.081
1.194 6.897 14.136
1.194 13.480 5.870
3.081 10.014 6.157
3.081 10.363 14.423
3.579 3.221 6.157
3.579 3.571 14.423
5.466 0.105 14.136
5.466 6.688 5.870
6.386 9.606 8.347
6.386 10.770 0.081
6.394 10.131 4.197
6.394 10.246 12.463
6.927 3.339 4.069
6.927 3.454 12.335
6.935 2.814 16.451
6.935 3.978 8.185
7.855 6.897 10.662
7.855 13.480 2.396
9.742 10.014 2.110
9.742 10.363 10.376
10.240 3.221 2.110
10.240 3.571 10.376
12.127 0.105 10.662
12.127 6.688 2.396
13.046 9.606 16.451
13.046 10.770 8.185
13.055 10.131 4.069
13.055 10.246 12.335
0.866 9.336 14.296
0.866 11.041 6.030
1.312 2.337 6.168
1.312 4.455 14.434
5.348 9.129 6.168
5.348 11.247 14.434
5.794 2.544 14.296
5.794 4.248 6.030
7.527 9.336 10.502
7.527 11.041 2.236
7.973 2.337 2.098
7.973 4.455 10.364
12.009 9.129 2.098
12.009 11.247 10.364
12.455 2.544 10.502
12.455 4.248 2.236
0.390 0.150 2.841
0.390 6.642 11.107
1.717 6.955 0.881
1.717 13.422 9.147
1.875 1.320 16.387
1.875 5.472 8.121
2.199 8.811 9.060
2.199 11.566 0.794
3.053 0.957 12.122
3.053 5.835 3.856
3.106 2.298 2.945
3.106 4.494 11.211
3.555 9.090 2.945
3.555 11.287 11.211
3.607 7.750 12.122
3.607 12.627 3.856
4.461 2.019 9.060
4.461 4.774 0.794
4.786 8.112 16.387
4.786 12.264 8.121
4.944 0.163 0.881
4.944 6.630 9.147
6.271 6.943 2.841
6.271 13.434 11.107
7.050 0.150 5.425
7.050 6.642 13.691
8.377 6.955 7.385
8.377 13.422 15.651
8.535 1.320 8.411
8.535 5.472 0.145
8.860 8.811 15.739
8.860 11.566 7.472
9.714 0.957 12.676
9.714 5.835 4.410
9.766 2.298 5.321
9.766 4.494 13.587
10.215 9.090 5.321
10.215 11.287 13.587
10.268 7.750 12.676
10.268 12.627 4.410
11.122 2.019 15.739
11.122 4.774 7.472
11.446 8.112 8.411
11.446 12.264 0.145
11.604 0.163 7.385
11.604 6.630 15.651
12.931 6.943 5.425
12.931 13.434 13.691

NaCeMg14O16 PBE relaxed; E = -5.995 eV per atom; magnetic moment = 0.03 μB per atom; energy above the most stable polymorph in this dataset = 0.0000 eV per atom; corrected total energy (MP2020 scheme) = -6.338 eV/atom; formation energy from the elements = -2.937 eV/atom
1.0
8.729 0.000 0.000
0.000 8.729 0.000
0.000 0.000 4.393
Na Ce Mg O
1 1 14 16
Cartesian
0.000 0.000 0.000
4.364 4.364 0.000
0.000 2.123 2.197
0.000 4.364 0.000
0.000 6.606 2.197
2.019 4.364 2.197
2.074 2.074 0.000
2.074 6.655 0.000
2.123 0.000 2.197
4.364 0.000 0.000
4.364 2.019 2.197
4.364 6.710 2.197
6.606 0.000 2.197
6.655 2.074 0.000
6.655 6.655 0.000
6.710 4.364 2.197
0.000 0.000 2.197
0.000 2.294 0.000
0.000 4.364 2.197
0.000 6.435 0.000
2.062 4.364 0.000
2.196 2.196 2.197
2.196 6.533 2.197
2.294 0.000 0.000
4.364 0.000 2.197
4.364 2.062 0.000
4.364 4.364 2.197
4.364 6.667 0.000
6.435 0.000 0.000
6.533 2.196 2.197
6.533 6.533 2.197
6.667 4.364 0.000